1.
# Mn4CdS5 | the Materials Project | PBE-GGA | relaxed
data_Mn4CdS5
_chemical_formula_sum 'Mn4 Cd1 S5'
_cell_length_a 15.298
_cell_length_b 15.298
_cell_length_c 15.298
_cell_angle_alpha 13.86
_cell_angle_beta 13.86
_cell_angle_gamma 13.86
_symmetry_space_group_name_H-M 'P 1'
_symmetry_Int_Tables_number 1
loop_
_symmetry_equiv_pos_as_xyz
'x,y,z'
loop_
_atom_site_label
_atom_site_type_symbol
_atom_site_fract_x
_atom_site_fract_y
_atom_site_fract_z
Mn1 Mn 0.098 0.098 0.098
Mn2 Mn 0.300 0.300 0.300
Mn3 Mn 0.700 0.700 0.700
Mn4 Mn 0.902 0.902 0.902
Cd1 Cd 0.500 0.500 0.500
S1 S 0.000 0.000 0.000
S2 S 0.204 0.204 0.204
S3 S 0.399 0.399 0.399
S4 S 0.601 0.601 0.601
S5 S 0.796 0.796 0.796
# **Polymorph energy (0 for the lowest one)**: 0.000 eV per atom
# **Theoretical density**: 4.6 g/cm³
# **Formation energy**: -724 meV/atom

=====

2.
# Ba3CdHg10 | the Materials Project | PBE-GGA | relaxed
data_Ba3CdHg10
_chemical_formula_sum 'Ba3 Cd1 Hg10'
_cell_length_a 9.632
_cell_length_b 9.632
_cell_length_c 9.632
_cell_angle_alpha 147.66
_cell_angle_beta 115.75
_cell_angle_gamma 73.78
_symmetry_space_group_name_H-M 'P 1'
_symmetry_Int_Tables_number 1
loop_
_symmetry_equiv_pos_as_xyz
'x,y,z'
loop_
_atom_site_label
_atom_site_type_symbol
_atom_site_fract_x
_atom_site_fract_y
_atom_site_fract_z
Ba1 Ba 0.000 0.000 0.000
Ba2 Ba 0.294 0.294 0.000
Ba3 Ba 0.706 0.706 0.000
Cd1 Cd 0.500 0.000 0.500
Hg1 Hg 0.015 0.659 0.356
Hg2 Hg 0.152 0.860 0.292
Hg3 Hg 0.302 0.659 0.644
Hg4 Hg 0.324 0.500 0.824
Hg5 Hg 0.432 0.140 0.292
Hg6 Hg 0.568 0.860 0.708
Hg7 Hg 0.676 0.500 0.176
Hg8 Hg 0.698 0.341 0.356
Hg9 Hg 0.848 0.140 0.708
Hg10 Hg 0.985 0.341 0.644
# **Theoretical density**: 9.9 g/cm³
# **Formation energy**: -365 meV/atom

=====

3.
# Rb2BaPt2C8N8 | the Materials Project | PBE-GGA | relaxed
data_Rb2BaPt2C8N8
_chemical_formula_sum 'Rb2 Ba1 Pt2 C8 N8'
_cell_length_a 7.863
_cell_length_b 7.863
_cell_length_c 7.028
_cell_angle_alpha 90.00
_cell_angle_beta 90.00
_cell_angle_gamma 90.00
_symmetry_space_group_name_H-M 'P 1'
_symmetry_Int_Tables_number 1
loop_
_symmetry_equiv_pos_as_xyz
'x,y,z'
loop_
_atom_site_label
_atom_site_type_symbol
_atom_site_fract_x
_atom_site_fract_y
_atom_site_fract_z
Rb1 Rb 0.000 0.500 0.000
Rb2 Rb 0.500 0.000 0.000
Ba1 Ba 0.000 0.000 0.500
Pt1 Pt 0.500 0.500 0.257
Pt2 Pt 0.500 0.500 0.743
C1 C 0.321 0.321 0.260
C2 C 0.321 0.321 0.740
C3 C 0.321 0.679 0.260
C4 C 0.321 0.679 0.740
C5 C 0.679 0.321 0.260
C6 C 0.679 0.321 0.740
C7 C 0.679 0.679 0.260
C8 C 0.679 0.679 0.740
N1 N 0.215 0.215 0.263
N2 N 0.215 0.215 0.737
N3 N 0.215 0.785 0.263
N4 N 0.215 0.785 0.737
N5 N 0.785 0.215 0.263
N6 N 0.785 0.215 0.737
N7 N 0.785 0.785 0.263
N8 N 0.785 0.785 0.737
# **Theoretical density**: 3.5 g/cm³
# **Formation energy**: -339 meV/atom

=====

> The highest theoretical density belongs to which entry?

Ba3CdHg10